# 1
{"formula": "BaTa4O11", "functional": "r²SCAN", "state": "optimized geometry", "e_form_ev_per_atom": -3.172, "sg": "P6_322, No. 182", "cell": [[3.163, -5.479, 0.000], [3.163, 5.479, 0.000], [0.000, 0.000, 12.495]], "species": ["O", "O", "Ta", "Ta", "O", "O", "O", "Ta", "O", "O", "O", "O", "Ta", "Ba", "O", "O", "O", "Ta", "O", "O", "O", "Ta", "O", "Ta", "Ta", "O", "O", "O", "Ba", "O", "O", "O"], "fractional_positions": [[0.757, 0.000, 0.000], [0.333, 0.667, 0.967], [0.000, 0.354, 0.000], [0.333, 0.667, 0.250], [0.928, 0.565, 0.652], [0.638, 0.565, 0.848], [0.667, 0.333, 0.033], [0.667, 0.333, 0.750], [0.565, 0.928, 0.348], [0.072, 0.435, 0.152], [0.435, 0.072, 0.848], [0.638, 0.072, 0.652], [0.646, 0.000, 0.500], [0.333, 0.667, 0.750], [0.667, 0.333, 0.467], [0.000, 0.243, 0.500], [0.333, 0.667, 0.533], [0.354, 0.000, 0.000], [0.928, 0.362, 0.848], [0.362, 0.928, 0.152], [0.565, 0.638, 0.152], [0.354, 0.354, 0.500], [0.757, 0.757, 0.500], [0.000, 0.646, 0.500], [0.646, 0.646, 0.000], [0.362, 0.435, 0.348], [0.072, 0.638, 0.348], [0.243, 0.243, 0.000], [0.667, 0.333, 0.250], [0.000, 0.757, 0.000], [0.435, 0.362, 0.652], [0.243, 0.000, 0.500]]}

# 2
{"formula": "Ba4Ta2O9", "functional": "r²SCAN", "state": "optimized geometry", "e_form_ev_per_atom": -3.187, "sg": "P6_3/m, No. 176", "cell": [[-4.233, -1.853, -4.019], [3.306, -4.128, 3.087], [-11.415, -0.113, 12.075]], "species": ["O", "O", "O", "O", "O", "O", "Ba", "O", "Ba", "O", "O", "O", "Ba", "O", "Ba", "Ba", "O", "O", "Ba", "Ta", "Ba", "O", "Ta", "Ta", "O", "Ba", "Ta", "O", "O", "O"], "fractional_positions": [[0.357, 0.246, 0.109], [0.953, 0.428, 0.250], [0.754, 0.111, 0.391], [0.047, 0.572, 0.750], [0.357, 0.246, 0.391], [0.428, 0.475, 0.750], [0.000, 0.000, 0.000], [0.525, 0.953, 0.750], [0.000, 0.000, 0.750], [0.475, 0.047, 0.250], [0.643, 0.754, 0.891], [0.889, 0.643, 0.391], [0.667, 0.333, 0.866], [0.643, 0.754, 0.609], [0.667, 0.333, 0.634], [0.333, 0.667, 0.366], [0.246, 0.889, 0.891], [0.572, 0.525, 0.250], [0.000, 0.000, 0.250], [0.333, 0.667, 0.660], [0.333, 0.667, 0.134], [0.111, 0.357, 0.609], [0.667, 0.333, 0.160], [0.333, 0.667, 0.840], [0.111, 0.357, 0.891], [0.000, 0.000, 0.500], [0.667, 0.333, 0.340], [0.246, 0.889, 0.609], [0.754, 0.111, 0.109], [0.889, 0.643, 0.109]]}